1.
A plane-wave DFT calculation with PBE was carried out for a relaxed LiEr2Ru crystal.

Space group: Fm-3m, No. 225

Cell: 4.865 4.865 4.865 Å, 60.00 60.00 60.00°
Atoms (fractional coordinates):
1 Li 0.000 0.000 0.000
2 Er 0.250 0.250 0.250
3 Er 0.750 0.750 0.750
4 Ru 0.500 0.500 0.500

=====

2.
A plane-wave DFT calculation with PBE was carried out for a relaxed Rb2CuH12Se2O14 crystal.

Space group: P2_1/c, No. 14

Cell: 6.411 12.769 9.489 Å, 90.00 104.22 90.00°
Atoms (fractional coordinates):
1 Rb 0.154 0.151 0.376
2 Rb 0.154 0.349 0.876
3 Rb 0.846 0.651 0.124
4 Rb 0.846 0.849 0.624
5 Cu 0.500 0.000 0.000
6 Cu 0.500 0.500 0.500
7 H 0.180 0.558 0.599
8 H 0.180 0.942 0.099
9 H 0.190 0.089 0.809
10 H 0.190 0.411 0.309
11 H 0.191 0.635 0.468
12 H 0.191 0.865 0.968
13 H 0.414 0.124 0.773
14 H 0.414 0.376 0.273
15 H 0.426 0.601 0.213
16 H 0.426 0.899 0.713
17 H 0.496 0.188 0.168
18 H 0.496 0.312 0.668
19 H 0.504 0.688 0.332
20 H 0.504 0.812 0.832
21 H 0.574 0.101 0.287
22 H 0.574 0.399 0.787
23 H 0.586 0.624 0.727
24 H 0.586 0.876 0.227
25 H 0.809 0.135 0.032
26 H 0.809 0.365 0.532
27 H 0.810 0.589 0.691
28 H 0.810 0.911 0.191
29 H 0.820 0.058 0.901
30 H 0.820 0.442 0.401
31 Se 0.230 0.641 0.891
32 Se 0.230 0.859 0.391
33 Se 0.770 0.141 0.609
34 Se 0.770 0.359 0.109
35 O 0.086 0.749 0.903
36 O 0.086 0.751 0.403
37 O 0.090 0.569 0.751
38 O 0.090 0.931 0.251
39 O 0.219 0.561 0.503
40 O 0.219 0.939 0.003
41 O 0.260 0.570 0.042
42 O 0.260 0.930 0.542
43 O 0.342 0.110 0.853
44 O 0.342 0.390 0.353
45 O 0.467 0.115 0.193
46 O 0.467 0.385 0.693
47 O 0.470 0.675 0.863
48 O 0.470 0.825 0.363
49 O 0.530 0.175 0.637
50 O 0.530 0.325 0.137
51 O 0.533 0.615 0.307
52 O 0.533 0.885 0.807
53 O 0.658 0.610 0.647
54 O 0.658 0.890 0.147
55 O 0.740 0.070 0.458
56 O 0.740 0.430 0.958
57 O 0.781 0.061 0.997
58 O 0.781 0.439 0.497
59 O 0.910 0.069 0.749
60 O 0.910 0.431 0.249
61 O 0.914 0.249 0.597
62 O 0.914 0.251 0.097

=====

3.
A plane-wave DFT calculation with PBE was carried out for a relaxed CeCrGe3 crystal.

Space group: P6_3/mmc, No. 194

Cell: 6.110 6.110 5.683 Å, 90.00 90.00 120.00°
Atoms (fractional coordinates):
1 Ce 0.333 0.667 0.250
2 Ce 0.667 0.333 0.750
3 Cr 0.000 0.000 0.000
4 Cr 0.000 0.000 0.500
5 Ge 0.192 0.383 0.750
6 Ge 0.192 0.808 0.750
7 Ge 0.383 0.192 0.250
8 Ge 0.617 0.808 0.750
9 Ge 0.808 0.192 0.250
10 Ge 0.808 0.617 0.250

=====

4.
A plane-wave DFT calculation with PBE was carried out for a relaxed SnN2F6 crystal.

Space group: Fm-3m, No. 225

Cell: 5.721 5.721 5.721 Å, 60.00 60.00 60.00°
Atoms (fractional coordinates):
1 Sn 0.000 0.000 0.000
2 N 0.250 0.250 0.250
3 N 0.750 0.750 0.750
4 F 0.247 0.247 0.753
5 F 0.247 0.753 0.247
6 F 0.247 0.753 0.753
7 F 0.753 0.247 0.247
8 F 0.753 0.247 0.753
9 F 0.753 0.753 0.247

=====

5.
A plane-wave DFT calculation with PBE was carried out for a relaxed TaTi3 crystal.

Space group: Fm-3m, No. 225

Cell: 4.620 4.620 4.620 Å, 60.00 60.00 60.00°
Atoms (fractional coordinates):
1 Ta 0.000 0.000 0.000
2 Ti 0.250 0.250 0.250
3 Ti 0.500 0.500 0.500
4 Ti 0.750 0.750 0.750

=====

6.
A plane-wave DFT calculation with PBE was carried out for a relaxed TmIn3 crystal.

Space group: Pm-3m, No. 221

Cell: 4.616 4.616 4.616 Å, 90.00 90.00 90.00°
Atoms (fractional coordinates):
1 Tm 0.000 0.000 0.000
2 In 0.000 0.500 0.500
3 In 0.500 0.000 0.500
4 In 0.500 0.500 0.000

=====

7.
A plane-wave DFT calculation with PBE was carried out for a relaxed PrP4NO12 crystal.

Space group: C2/c, No. 15

Cell: 7.546 7.546 10.790 Å, 100.67 100.67 115.65°
Atoms (fractional coordinates):
1 Pr 0.120 0.880 0.750
2 Pr 0.880 0.120 0.250
3 P 0.266 0.308 0.059
4 P 0.290 0.628 0.501
5 P 0.308 0.266 0.559
6 P 0.372 0.710 0.999
7 P 0.628 0.290 0.001
8 P 0.692 0.734 0.441
9 P 0.710 0.372 0.499
10 P 0.734 0.692 0.941
11 N 0.181 0.819 0.250
12 N 0.819 0.181 0.750
13 O 0.096 0.487 0.390
14 O 0.141 0.158 0.924
15 O 0.158 0.141 0.424
16 O 0.193 0.697 0.902
17 O 0.194 0.250 0.174
18 O 0.250 0.194 0.674
19 O 0.280 0.527 0.065
20 O 0.303 0.807 0.598
21 O 0.361 0.503 0.588
22 O 0.473 0.720 0.435
23 O 0.487 0.096 0.890
24 O 0.497 0.639 0.912
25 O 0.503 0.361 0.088
26 O 0.513 0.904 0.110
27 O 0.527 0.280 0.565
28 O 0.639 0.497 0.412
29 O 0.697 0.193 0.402
30 O 0.720 0.473 0.935
31 O 0.750 0.806 0.326
32 O 0.806 0.750 0.826
33 O 0.807 0.303 0.098
34 O 0.842 0.859 0.576
35 O 0.859 0.842 0.076
36 O 0.904 0.513 0.610

=====

8.
A plane-wave DFT calculation with PBE was carried out for a relaxed Y7TmO12 crystal.

Space group: I2_12_12_1, No. 24

Cell: 9.241 9.241 9.241 Å, 109.49 109.47 109.45°
Atoms (fractional coordinates):
1 Y 0.001 0.000 0.001
2 Y 0.002 0.500 0.501
3 Y 0.034 0.284 0.750
4 Y 0.250 0.467 0.217
5 Y 0.250 0.968 0.718
6 Y 0.466 0.216 0.250
7 Y 0.498 0.000 0.499
8 Y 0.499 0.500 0.999
9 Y 0.532 0.782 0.750
10 Y 0.717 0.750 0.467
11 Y 0.750 0.033 0.283
12 Y 0.750 0.532 0.782
13 Y 0.783 0.250 0.033
14 Y 0.968 0.718 0.250
15 Tm 0.216 0.750 0.966
16 Tm 0.284 0.250 0.534
17 O 0.014 0.771 0.042
18 O 0.035 0.261 0.489
19 O 0.043 0.511 0.272
20 O 0.229 0.239 0.274
21 O 0.229 0.972 0.458
22 O 0.238 0.008 0.968
23 O 0.262 0.230 0.770
24 O 0.271 0.546 0.011
25 O 0.271 0.729 0.743
26 O 0.457 0.729 0.468
27 O 0.465 0.954 0.226
28 O 0.486 0.528 0.757
29 O 0.510 0.467 0.238
30 O 0.532 0.042 0.771
31 O 0.540 0.270 0.532
32 O 0.728 0.458 0.989
33 O 0.730 0.272 0.262
34 O 0.739 0.771 0.228
35 O 0.761 0.989 0.032
36 O 0.770 0.033 0.542
37 O 0.772 0.761 0.729
38 O 0.960 0.492 0.730
39 O 0.968 0.739 0.511
40 O 0.990 0.228 0.958

=====

9.
A plane-wave DFT calculation with PBE was carried out for a relaxed U3CrSb5 crystal.

Space group: P6_3/mcm, No. 193

Cell: 9.064 9.064 6.126 Å, 90.00 90.00 120.00°
Atoms (fractional coordinates):
1 U 0.000 0.389 0.250
2 U 0.000 0.611 0.750
3 U 0.389 0.000 0.250
4 U 0.389 0.389 0.750
5 U 0.611 0.000 0.750
6 U 0.611 0.611 0.250
7 Cr 0.000 0.000 0.000
8 Cr 0.000 0.000 0.500
9 Sb 0.000 0.257 0.750
10 Sb 0.000 0.743 0.250
11 Sb 0.257 0.000 0.750
12 Sb 0.257 0.257 0.250
13 Sb 0.333 0.667 0.000
14 Sb 0.333 0.667 0.500
15 Sb 0.667 0.333 0.000
16 Sb 0.667 0.333 0.500
17 Sb 0.743 0.000 0.250
18 Sb 0.743 0.743 0.750

=====

10.
A plane-wave DFT calculation with PBE was carried out for a relaxed HfSc crystal.

Space group: P-6m2, No. 187

Cell: 3.238 3.238 5.111 Å, 90.00 90.00 120.00°
Atoms (fractional coordinates):
1 Hf 0.000 0.000 0.000
2 Sc 0.667 0.333 0.500

=====

11.
A plane-wave DFT calculation with PBE was carried out for a relaxed PrAgPb crystal.

Space group: P6_3mc, No. 186

Cell: 4.923 4.923 7.783 Å, 90.00 90.00 120.00°
Atoms (fractional coordinates):
1 Pr 0.000 0.000 0.000
2 Pr 0.000 0.000 0.500
3 Ag 0.333 0.667 0.193
4 Ag 0.667 0.333 0.693
5 Pb 0.333 0.667 0.780
6 Pb 0.667 0.333 0.280

=====

12.
A plane-wave DFT calculation with PBE was carried out for a relaxed K2Zn6O7 crystal.

Space group: P4_2/mnm, No. 136

Cell: 11.037 11.037 3.371 Å, 90.00 90.00 90.00°
Atoms (fractional coordinates):
1 K 0.140 0.140 0.000
2 K 0.360 0.640 0.500
3 K 0.640 0.360 0.500
4 K 0.860 0.860 0.000
5 Zn 0.087 0.652 0.000
6 Zn 0.121 0.879 0.500
7 Zn 0.152 0.413 0.500
8 Zn 0.348 0.913 0.000
9 Zn 0.379 0.379 0.000
10 Zn 0.413 0.152 0.500
11 Zn 0.587 0.848 0.500
12 Zn 0.621 0.621 0.000
13 Zn 0.652 0.087 0.000
14 Zn 0.848 0.587 0.500
15 Zn 0.879 0.121 0.500
16 Zn 0.913 0.348 0.000
17 O 0.000 0.000 0.500
18 O 0.004 0.313 0.500
19 O 0.187 0.504 0.000
20 O 0.192 0.808 0.000
21 O 0.308 0.308 0.500
22 O 0.313 0.004 0.500
23 O 0.496 0.813 0.000
24 O 0.500 0.500 0.000
25 O 0.504 0.187 0.000
26 O 0.687 0.996 0.500
27 O 0.692 0.692 0.500
28 O 0.808 0.192 0.000
29 O 0.813 0.496 0.000
30 O 0.996 0.687 0.500

=====

Ρ for every record listed, in sequence, given in kg/m3: 9024 2772 7410 3270 7731 8665 3011 5376 10475 7996 9270 4712.
Raw total energy for every record listed, in sequence, given in eV/cell: -21.597 -311.344 -63.179 -32.525 -35.154 -14.165 -255.483 -361.112 -132.647 -16.259 -25.420 -131.175.